A relaxed LiCo3O6 crystal, computed with GGA+U.

Properties
Formation energy in eV/f.u.: -13.47

Structure (CIF):
```
data_LiCo3O6
_space_group_name_H-M_alt 'C 1 2 1'
_space_group_IT_number 5
_cell_length_a 4.955
_cell_length_b 8.440
_cell_length_c 10.117
_cell_angle_alpha 90.00
_cell_angle_beta 98.79
_cell_angle_gamma 90.00
loop_
_space_group_symop_operation_xyz
'x,y,z'
'-x,y,-z'
'x+1/2,y+1/2,z'
'-x+1/2,y+1/2,-z'
loop_
_atom_site_label
_atom_site_fract_x
_atom_site_fract_y
_atom_site_fract_z
_atom_site_occupancy
Li1 0.248 0.000 0.251 1
Co1 0.000 0.000 0.500 1
Co2 0.000 0.165 0.000 1
Co3 0.000 0.332 0.500 1
Co4 0.000 0.499 0.000 1
Co5 0.000 0.667 0.500 1
Co6 0.000 0.834 0.000 1
O1 0.102 0.999 0.896 1
O2 0.132 0.498 0.403 1
O3 0.138 0.163 0.403 1
O4 0.142 0.334 0.903 1
O5 0.142 0.665 0.903 1
O6 0.142 0.837 0.403 1
```

A relaxed Ho2MgV2O7 crystal, computed with GGA+U.

Properties
Formation energy in eV/f.u.: -37.06

Structure (CIF):
```
data_Ho2MgV2O7
_space_group_name_H-M_alt 'C 1 m 1'
_space_group_IT_number 8
_cell_length_a 6.658
_cell_length_b 9.703
_cell_length_c 5.518
_cell_angle_alpha 90.00
_cell_angle_beta 97.54
_cell_angle_gamma 90.00
loop_
_space_group_symop_operation_xyz
'x,y,z'
'x,-y,z'
'x+1/2,y+1/2,z'
'x+1/2,-y+1/2,z'
loop_
_atom_site_label
_atom_site_fract_x
_atom_site_fract_y
_atom_site_fract_z
_atom_site_occupancy
Ho1 0.000 0.180 0.000 1
Mg1 0.450 0.000 0.091 1
V1 0.248 0.000 0.597 1
V2 0.280 0.500 0.403 1
O1 0.073 0.000 0.270 1
O2 0.204 0.351 0.168 1
O3 0.306 0.143 0.862 1
O4 0.444 0.500 0.725 1
O5 0.488 0.000 0.458 1
```

A relaxed Na2Cr7O14 crystal, computed with GGA+U.

Properties
Formation energy in eV/f.u.: -47.28

Structure (CIF):
```
data_Na2Cr7O14
_space_group_name_H-M_alt 'R -3 m'
_space_group_IT_number 166
_space_group_name_Hall '-R 3 2"'
_cell_length_a 5.7552
_cell_length_b 5.7552
_cell_length_c 28.1311
_cell_angle_alpha 90.00
_cell_angle_beta 90.00
_cell_angle_gamma 120.00
loop_
_atom_site_label
_atom_site_fract_x
_atom_site_fract_y
_atom_site_fract_z
_atom_site_occupancy
Na1 0.0000 0.0000 0.1983 1
Cr1 0.0000 0.0000 0.0761 1
Cr2 0.0000 0.0000 0.4396 1
Cr3 0.0000 0.5000 0.0000 1
O1 0.0000 0.0000 0.3715 1
O2 0.0138 0.5069 0.3698 1
O3 0.0140 0.5070 0.7851 1
```

A relaxed KCrO3F crystal, computed with GGA+U.

Properties
Formation energy in eV/f.u.: -12.54

Structure (CIF):
```
data_KCrO3F
_space_group_name_H-M_alt 'P 1'
_space_group_IT_number 1
_cell_length_a 5.633
_cell_length_b 5.635
_cell_length_c 7.707
_cell_angle_alpha 110.38
_cell_angle_beta 110.94
_cell_angle_gamma 90.02
loop_
_space_group_symop_operation_xyz
'x,y,z'
loop_
_atom_site_label
_atom_site_fract_x
_atom_site_fract_y
_atom_site_fract_z
_atom_site_occupancy
K1 0.000 0.000 0.000 1
K2 0.247 0.752 0.500 1
Cr1 0.487 0.495 0.996 1
Cr2 0.746 0.240 0.496 1
O1 0.334 0.479 0.136 1
O2 0.335 0.649 0.855 1
O3 0.456 0.091 0.359 1
O4 0.507 0.209 0.858 1
O5 0.896 0.259 0.354 1
O6 0.900 0.087 0.635 1
F1 0.727 0.560 0.646 1
F2 0.808 0.663 0.145 1
```

A relaxed MnNiO3 crystal, computed with GGA+U.

Properties
Formation energy in eV/f.u.: -6.83

Structure (CIF):
```
data_MnNiO3
_space_group_name_H-M_alt 'P -1'
_space_group_IT_number 2
_cell_length_a 3.945
_cell_length_b 5.691
_cell_length_c 6.112
_cell_angle_alpha 104.39
_cell_angle_beta 107.70
_cell_angle_gamma 109.80
loop_
_space_group_symop_operation_xyz
'x,y,z'
'-x,-y,-z'
loop_
_atom_site_label
_atom_site_fract_x
_atom_site_fract_y
_atom_site_fract_z
_atom_site_occupancy
Mn1 0.016 0.182 0.346 1
Ni1 0.249 0.740 0.239 1
O1 0.013 0.664 0.877 1
O2 0.196 0.207 0.701 1
O3 0.471 0.827 0.621 1
```

A relaxed Li3Mn3CrO8 crystal, computed with GGA+U.

Properties
Formation energy in eV/f.u.: -31.80

Structure (CIF):
```
data_Li3Mn3CrO8
_space_group_name_H-M_alt 'C 1 2/m 1'
_space_group_IT_number 12
_cell_length_a 10.285
_cell_length_b 5.941
_cell_length_c 6.064
_cell_angle_alpha 90.00
_cell_angle_beta 125.81
_cell_angle_gamma 90.00
loop_
_space_group_symop_operation_xyz
'x,y,z'
'-x,-y,-z'
'-x,y,-z'
'x,-y,z'
'x+1/2,y+1/2,z'
'-x+1/2,-y+1/2,-z'
'-x+1/2,y+1/2,-z'
'x+1/2,-y+1/2,z'
loop_
_atom_site_label
_atom_site_fract_x
_atom_site_fract_y
_atom_site_fract_z
_atom_site_occupancy
Li1 0.000 0.000 0.000 1
Li2 0.250 0.250 0.000 1
Mn1 0.000 0.500 0.500 1
Mn2 0.250 0.250 0.500 1
Cr1 0.000 0.000 0.500 1
O1 0.012 0.257 0.294 1
O2 0.234 0.500 0.746 1
O3 0.239 0.000 0.698 1
```

no.,spin magnetization (μB/f.u.)
1,1.002
2,3.997
3,4.000
4,0.000
5,4.999
6,14.000